[1]
# LiPH21S3N7

Crystalline LiPH21S3N7 at its relaxed geometry (PBE-GGA, Materials Project).

Summary:
- Spin magnetization: 0.00 μB per cell
- Energy of formation: -0.534 eV/atom

Geometry as CIF:
```
data_LiPH21S3N7
_chemical_formula_sum 'Li2 P2 H42 S6 N14'
_symmetry_space_group_name_H-M 'P -1'
_symmetry_Int_Tables_number 2
_cell_length_a 7.252
_cell_length_b 7.416
_cell_length_c 13.320
_cell_angle_alpha 87.73
_cell_angle_beta 89.13
_cell_angle_gamma 74.11
loop_
_symmetry_equiv_pos_as_xyz
'x,y,z'
'-x,-y,-z'
loop_
_atom_site_label
_atom_site_type_symbol
_atom_site_fract_x
_atom_site_fract_y
_atom_site_fract_z
_atom_site_occupancy
Li1 Li 0.065 0.279 0.409 1
P1 P 0.456 0.691 0.802 1
H1 H 0.007 0.034 0.285 1
H2 H 0.021 0.686 0.108 1
H3 H 0.028 0.352 0.632 1
H4 H 0.052 0.162 0.986 1
H5 H 0.100 0.527 0.277 1
H6 H 0.111 0.099 0.869 1
H7 H 0.134 0.457 0.710 1
H8 H 0.149 0.699 0.850 1
H9 H 0.153 0.887 0.478 1
H10 H 0.180 0.129 0.246 1
H11 H 0.231 0.845 0.090 1
H12 H 0.232 0.947 0.323 1
H13 H 0.236 0.663 0.456 1
H14 H 0.271 0.742 0.566 1
H15 H 0.306 0.569 0.933 1
H16 H 0.322 0.350 0.539 1
H17 H 0.342 0.126 0.546 1
H18 H 0.390 0.978 0.109 1
H19 H 0.413 0.219 0.444 1
H20 H 0.437 0.755 0.159 1
H21 H 0.455 0.794 0.033 1
S1 S 0.317 0.326 0.103 1
S2 S 0.366 0.942 0.728 1
S3 S 0.494 0.531 0.290 1
N1 N 0.002 0.175 0.913 1
N2 N 0.008 0.471 0.672 1
N3 N 0.128 0.068 0.307 1
N4 N 0.172 0.755 0.510 1
N5 N 0.275 0.686 0.886 1
N6 N 0.307 0.241 0.498 1
N7 N 0.380 0.844 0.097 1
```

=====

[2]
# Sr2LiH2N

Crystalline Sr2LiH2N at its relaxed geometry (PBE-GGA, Materials Project).

Summary:
- Spin magnetization: 0.00 μB per cell
- Energy of formation: -0.557 eV/atom

Geometry as CIF:
```
data_Sr2LiH2N
_chemical_formula_sum 'Sr8 Li4 H8 N4'
_symmetry_space_group_name_H-M 'P n m a'
_symmetry_Int_Tables_number 62
_cell_length_a 7.295
_cell_length_b 3.844
_cell_length_c 14.266
_cell_angle_alpha 90.00
_cell_angle_beta 90.00
_cell_angle_gamma 90.00
loop_
_symmetry_equiv_pos_as_xyz
'x,y,z'
'-x,-y,-z'
'-x+1/2,-y,z+1/2'
'x+1/2,y,-z+1/2'
'x+1/2,-y+1/2,-z+1/2'
'-x+1/2,y+1/2,z+1/2'
'-x,y+1/2,-z'
'x,-y+1/2,z'
loop_
_atom_site_label
_atom_site_type_symbol
_atom_site_fract_x
_atom_site_fract_y
_atom_site_fract_z
_atom_site_occupancy
Sr1 Sr 0.114 0.250 0.088 1
Sr2 Sr 0.141 0.250 0.398 1
Li1 Li 0.117 0.250 0.769 1
H1 H 0.115 0.750 0.731 1
H2 H 0.120 0.250 0.578 1
N1 N 0.132 0.250 0.907 1
```

=====

[3]
# NaLiP2H8O10

Crystalline NaLiP2H8O10 at its relaxed geometry (PBE-GGA, Materials Project).

Summary:
- Spin magnetization: 0.03 μB per cell
- Energy of formation: -1.896 eV/atom

Geometry as CIF:
```
data_NaLiP2H8O10
_chemical_formula_sum 'Na18 Li18 P36 H144 O180'
_symmetry_space_group_name_H-M 'R -3 c'
_symmetry_Int_Tables_number 167
_symmetry_space_group_name_Hall '-R 3 2"c'
_cell_length_a 10.5857
_cell_length_b 10.5857
_cell_length_c 42.0117
_cell_angle_alpha 90.00
_cell_angle_beta 90.00
_cell_angle_gamma 120.00
loop_
_atom_site_label
_atom_site_type_symbol
_atom_site_fract_x
_atom_site_fract_y
_atom_site_fract_z
_atom_site_occupancy
Na1 Na 0.0000 0.0000 0.1324 1
Na2 Na 0.0000 0.0000 0.2500 1
Li1 Li 0.0000 0.4944 0.2500 1
P1 P 0.0366 0.4784 0.1799 1
H1 H 0.0336 0.2390 0.2892 1
H2 H 0.0440 0.1848 0.8014 1
H3 H 0.0492 0.4738 0.0652 1
H4 H 0.0735 0.1817 0.4273 1
O1 O 0.0115 0.2154 0.0140 1
O2 O 0.0237 0.1861 0.4080 1
O3 O 0.0367 0.2693 0.5454 1
O4 O 0.0825 0.2159 0.6650 1
O5 O 0.1078 0.2153 0.2822 1
```

=====

[4]
# Na2LiP3H8O13

Crystalline Na2LiP3H8O13 at its relaxed geometry (PBE-GGA, Materials Project).

Summary:
- Spin magnetization: 0.00 μB per cell
- Energy of formation: -2.033 eV/atom

Geometry as CIF:
```
data_Na2LiP3H8O13
_chemical_formula_sum 'Na4 Li2 P6 H16 O26'
_symmetry_space_group_name_H-M 'P -1'
_symmetry_Int_Tables_number 2
_cell_length_a 6.979
_cell_length_b 9.463
_cell_length_c 9.995
_cell_angle_alpha 94.91
_cell_angle_beta 104.26
_cell_angle_gamma 107.92
loop_
_symmetry_equiv_pos_as_xyz
'x,y,z'
'-x,-y,-z'
loop_
_atom_site_label
_atom_site_type_symbol
_atom_site_fract_x
_atom_site_fract_y
_atom_site_fract_z
_atom_site_occupancy
Na1 Na 0.069 0.447 0.350 1
Na2 Na 0.310 0.840 0.535 1
Li1 Li 0.136 0.248 0.111 1
P1 P 0.233 0.204 0.535 1
P2 P 0.323 0.279 0.839 1
P3 P 0.423 0.519 0.679 1
H1 H 0.015 0.959 0.133 1
H2 H 0.070 0.712 0.215 1
H3 H 0.157 0.066 0.275 1
H4 H 0.219 0.806 0.843 1
H5 H 0.228 0.703 0.955 1
H6 H 0.296 0.707 0.244 1
H7 H 0.423 0.077 0.180 1
H8 H 0.473 0.045 0.823 1
O1 O 0.036 0.218 0.445 1
O2 O 0.127 0.724 0.877 1
O3 O 0.133 0.055 0.173 1
O4 O 0.172 0.241 0.926 1
O5 O 0.180 0.694 0.287 1
O6 O 0.196 0.172 0.687 1
O7 O 0.263 0.581 0.601 1
O8 O 0.326 0.095 0.482 1
O9 O 0.339 0.447 0.806 1
O10 O 0.351 0.385 0.265 1
O11 O 0.420 0.369 0.584 1
O12 O 0.439 0.937 0.791 1
O13 O 0.463 0.736 0.113 1
```

=====

[5]
# LiNd2H6O6

Crystalline LiNd2H6O6 at its relaxed geometry (PBE-GGA, Materials Project).

Summary:
- Spin magnetization: 0.98 μB per cell
- Energy of formation: -1.967 eV/atom
- Offset from the most stable computed form: 0.0728 eV/atom

Geometry as CIF:
```
data_LiNd2H6O6
_chemical_formula_sum 'Li1 Nd2 H6 O6'
_symmetry_space_group_name_H-M 'P -1'
_symmetry_Int_Tables_number 2
_cell_length_a 3.811
_cell_length_b 6.521
_cell_length_c 6.574
_cell_angle_alpha 119.26
_cell_angle_beta 90.02
_cell_angle_gamma 90.14
loop_
_symmetry_equiv_pos_as_xyz
'x,y,z'
'-x,-y,-z'
loop_
_atom_site_label
_atom_site_type_symbol
_atom_site_fract_x
_atom_site_fract_y
_atom_site_fract_z
_atom_site_occupancy
Li1 Li 0.000 0.000 0.000 1
Nd1 Nd 0.240 0.668 0.333 1
H1 H 0.338 0.723 0.831 1
H2 H 0.342 0.115 0.280 1
H3 H 0.351 0.168 0.902 1
O1 O 0.241 0.315 0.923 1
O2 O 0.244 0.084 0.402 1
O3 O 0.247 0.598 0.680 1
```

=====

[6]
# LiNd2H6O6

Crystalline LiNd2H6O6 at its relaxed geometry (PBE-GGA, Materials Project).

Summary:
- Spin magnetization: 0.00 μB per cell
- Energy of formation: -2.040 eV/atom
- Offset from the most stable computed form: 0.0000 eV/atom

Geometry as CIF:
```
data_LiNd2H6O6
_chemical_formula_sum 'Li1 Nd2 H6 O6'
_symmetry_space_group_name_H-M 'P 1 m 1'
_symmetry_Int_Tables_number 6
_cell_length_a 6.703
_cell_length_b 3.586
_cell_length_c 7.621
_cell_angle_alpha 90.00
_cell_angle_beta 113.34
_cell_angle_gamma 90.00
loop_
_symmetry_equiv_pos_as_xyz
'x,y,z'
'x,-y,z'
loop_
_atom_site_label
_atom_site_type_symbol
_atom_site_fract_x
_atom_site_fract_y
_atom_site_fract_z
_atom_site_occupancy
Li1 Li 0.000 0.000 0.000 1
Nd1 Nd 0.311 0.500 0.359 1
Nd2 Nd 0.902 0.000 0.573 1
H1 H 0.293 0.500 0.747 1
H2 H 0.412 0.000 0.082 1
H3 H 0.524 0.000 0.698 1
H4 H 0.682 0.500 0.237 1
H5 H 0.768 0.500 0.833 1
H6 H 0.856 0.000 0.194 1
O1 O 0.010 0.000 0.286 1
O2 O 0.175 0.500 0.618 1
O3 O 0.305 0.000 0.140 1
O4 O 0.526 0.000 0.570 1
O5 O 0.690 0.500 0.369 1
O6 O 0.910 0.500 0.823 1
```

=====

[7]
# LiNd2H6O6

Crystalline LiNd2H6O6 at its relaxed geometry (PBE-GGA, Materials Project).

Summary:
- Spin magnetization: 0.00 μB per cell
- Energy of formation: -2.030 eV/atom
- Offset from the most stable computed form: 0.0103 eV/atom

Geometry as CIF:
```
data_LiNd2H6O6
_chemical_formula_sum 'Li1 Nd2 H6 O6'
_symmetry_space_group_name_H-M 'P 1 m 1'
_symmetry_Int_Tables_number 6
_cell_length_a 6.702
_cell_length_b 3.855
_cell_length_c 7.629
_cell_angle_alpha 90.00
_cell_angle_beta 96.83
_cell_angle_gamma 90.00
loop_
_symmetry_equiv_pos_as_xyz
'x,y,z'
'x,-y,z'
loop_
_atom_site_label
_atom_site_type_symbol
_atom_site_fract_x
_atom_site_fract_y
_atom_site_fract_z
_atom_site_occupancy
Li1 Li 0.000 0.000 0.000 1
Nd1 Nd 0.194 0.500 0.396 1
Nd2 Nd 0.709 0.000 0.546 1
H1 H 0.161 0.000 0.687 1
H2 H 0.215 0.500 0.022 1
H3 H 0.419 0.000 0.197 1
H4 H 0.487 0.500 0.734 1
H5 H 0.644 0.000 0.906 1
H6 H 0.761 0.500 0.247 1
O1 O 0.084 0.000 0.568 1
O2 O 0.100 0.500 0.093 1
O3 O 0.401 0.000 0.324 1
O4 O 0.500 0.500 0.607 1
O5 O 0.763 0.000 0.842 1
O6 O 0.823 0.500 0.370 1
```

=====

[8]
# LiH3O2

Crystalline LiH3O2 at its relaxed geometry (PBE-GGA, Materials Project).

Summary:
- Spin magnetization: 0.00 μB per cell
- Energy of formation: -1.536 eV/atom

Geometry as CIF:
```
data_LiH3O2
_chemical_formula_sum 'Li2 H6 O4'
_symmetry_space_group_name_H-M 'P -1'
_symmetry_Int_Tables_number 2
_cell_length_a 3.250
_cell_length_b 5.577
_cell_length_c 5.680
_cell_angle_alpha 96.07
_cell_angle_beta 104.53
_cell_angle_gamma 104.92
loop_
_symmetry_equiv_pos_as_xyz
'x,y,z'
'-x,-y,-z'
loop_
_atom_site_label
_atom_site_type_symbol
_atom_site_fract_x
_atom_site_fract_y
_atom_site_fract_z
_atom_site_occupancy
Li1 Li 0.006 0.157 0.350 1
H1 H 0.170 0.771 0.264 1
H2 H 0.356 0.518 0.759 1
H3 H 0.360 0.248 0.022 1
O1 O 0.113 0.217 0.715 1
O2 O 0.499 0.710 0.793 1
```

=====

[9]
# LiHO

Crystalline LiHO at its relaxed geometry (PBE-GGA, Materials Project).

Summary:
- Energy of formation: -1.780 eV/atom
- Offset from the most stable computed form: 0.0000 eV/atom

Geometry as CIF:
```
data_LiHO
_chemical_formula_sum 'Li2 H2 O2'
_symmetry_space_group_name_H-M 'P 4/n m m'
_symmetry_Int_Tables_number 129
_cell_length_a 3.591
_cell_length_b 3.591
_cell_length_c 4.410
_cell_angle_alpha 90.00
_cell_angle_beta 90.00
_cell_angle_gamma 90.00
loop_
_symmetry_equiv_pos_as_xyz
'x,y,z'
'-x,-y,-z'
'-y+1/2,x,z'
'y+1/2,-x,-z'
'-x+1/2,-y+1/2,z'
'x+1/2,y+1/2,-z'
'y,-x+1/2,z'
'-y,x+1/2,-z'
'x+1/2,-y,-z'
'-x+1/2,y,z'
'-y,-x,-z'
'y,x,z'
'-x,y+1/2,-z'
'x,-y+1/2,z'
'y+1/2,x+1/2,-z'
'-y+1/2,-x+1/2,z'
loop_
_atom_site_label
_atom_site_type_symbol
_atom_site_fract_x
_atom_site_fract_y
_atom_site_fract_z
_atom_site_occupancy
Li1 Li 0.250 0.750 0.000 1
H1 H 0.250 0.250 0.413 1
O1 O 0.250 0.250 0.193 1
```

=====

[10]
# LiH2O2

Crystalline LiH2O2 at its relaxed geometry (PBE-GGA, Materials Project).

Summary:
- Spin magnetization: 1.00 μB per cell
- Energy of formation: -0.931 eV/atom

Geometry as CIF:
```
data_LiH2O2
_chemical_formula_sum 'Li1 H2 O2'
_symmetry_space_group_name_H-M 'P 4/m m m'
_symmetry_Int_Tables_number 123
_symmetry_space_group_name_Hall '-P 4 2'
_cell_length_a 3.218
_cell_length_b 3.218
_cell_length_c 7.655
_cell_angle_alpha 90.00
_cell_angle_beta 90.00
_cell_angle_gamma 90.00
loop_
_atom_site_label
_atom_site_type_symbol
_atom_site_fract_x
_atom_site_fract_y
_atom_site_fract_z
_atom_site_occupancy
Li1 Li 0.000 0.000 0.000 1
H1 H 0.000 0.000 0.354 1
O1 O 0.000 0.000 0.228 1
```

=====

[11]
# LiHO

Crystalline LiHO at its relaxed geometry (PBE-GGA, Materials Project).

Summary:
- Spin magnetization: 0.00 μB per cell
- Largest piezoelectric modulus: 0.57 C/m²
- Energy of formation: -1.776 eV/atom
- Offset from the most stable computed form: 0.0042 eV/atom

Geometry as CIF:
```
data_LiHO
_chemical_formula_sum 'Li4 H4 O4'
_symmetry_space_group_name_H-M 'A e m 2'
_symmetry_Int_Tables_number 39
_cell_length_a 4.556
_cell_length_b 5.046
_cell_length_c 5.027
_cell_angle_alpha 90.00
_cell_angle_beta 90.00
_cell_angle_gamma 90.00
loop_
_symmetry_equiv_pos_as_xyz
'x,y,z'
'-x,-y,z'
'-x,y+1/2,z'
'x,-y+1/2,z'
'x,y+1/2,z+1/2'
'-x,-y+1/2,z+1/2'
'-x,y,z+1/2'
'x,-y,z+1/2'
loop_
_atom_site_label
_atom_site_type_symbol
_atom_site_fract_x
_atom_site_fract_y
_atom_site_fract_z
_atom_site_occupancy
Li1 Li 0.000 0.000 0.000 1
H1 H 0.397 0.250 0.210 1
O1 O 0.190 0.250 0.248 1
```

=====

Number 1: MP2020-corrected energy -0.1859 hartree per atom. Number 2: MP2020-corrected energy -0.1455 hartree per atom. Number 3: MP2020-corrected energy -0.2211 hartree per atom. Number 4: MP2020-corrected energy -0.2275 hartree per atom. Number 5: MP2020-corrected energy -0.2229 hartree per atom. Number 6: MP2020-corrected energy -0.2256 hartree per atom. Number 7: MP2020-corrected energy -0.2252 hartree per atom. Number 8: MP2020-corrected energy -0.1911 hartree per atom. Number 9: MP2020-corrected energy -0.1910 hartree per atom. Number 10: MP2020-corrected energy -0.1709 hartree per atom. Number 11: MP2020-corrected energy -0.1908 hartree per atom.